Computed, not measured: ZnCrF5 after structural relaxation at the PBE+U level of DFT.

```
14
Lattice="-3.8803 -1.8366 3.1671 0.1167 -5.3233 -0.3308 2.8834 -2.9560 6.2414" Properties=species:S:1:pos:R:3 pbc="T T T"
Cr 1.4417 -1.4780 3.1207
Cr 0.0000 0.0000 0.0000
F -2.3268 -5.8599 2.8392
F -2.6215 -3.0930 2.3870
F 1.7412 -7.0229 6.6906
F -1.1227 -7.1306 6.1678
F 0.4555 -5.7290 1.5639
F -1.2933 -4.1555 4.9638
F -1.3357 -4.3870 7.5137
F 0.4130 -5.9605 4.1138
F 1.4465 -4.2561 6.2384
F 0.2424 -2.9854 2.9098
Zn 0.2106 -5.7359 6.1605
Zn -1.0909 -4.3801 2.9172
```

* distance to the lowest polymorph of the same formula: 0.0 meV/atom
* volume: 183.3 Å³ per cell
* energy relative to the elements: -2.81 eV per atom
* E: -5.120 eV/atom
* M_tot: 6.003 μB per cell
* crystal system: monoclinic
* MP2020-corrected energy: -5.735 eV per atom

Computed, not measured: Li9Mn2Co5O16 after structural relaxation at the PBE+U level of DFT.

```
32
Lattice="5.1053 0.0000 0.0000 0.1348 5.8799 0.0000 1.8248 0.4387 9.5674" Properties=species:S:1:pos:R:3 pbc="T T T"
Mn 5.0984 0.0374 0.0538
Mn 5.1727 2.9517 0.0474
Li 4.2939 1.5683 2.4122
Li 1.7284 0.1354 2.4338
Li 5.1920 0.3549 7.1422
Li 1.8512 3.0283 2.4396
Li 6.0682 4.5931 4.7476
Li 2.7039 4.4511 0.0463
Li 6.0368 1.6959 4.7826
Li 5.2301 3.2155 7.1082
Li 4.4155 1.8900 9.5621
O 2.0598 6.1319 6.0012
O 0.8311 1.4756 1.0525
O 5.0654 5.8801 3.5340
O 6.3006 4.8784 8.5074
O 2.8172 4.4511 3.4887
O 3.3638 0.4245 8.3844
O 6.1332 1.7614 8.4205
O 5.1185 3.1930 3.5086
O 2.6655 1.5432 3.7127
O 0.8754 4.6046 1.2625
O 3.6580 3.1368 1.2485
O 3.4761 3.3834 8.3500
O 4.3130 1.8026 5.9644
O 3.7058 5.8596 1.2041
O 4.3289 4.7087 5.8879
O 1.9293 3.2077 6.0501
Co 2.6792 1.8242 7.1460
Co 3.5523 3.1170 4.7159
Co 4.3924 4.5121 2.3988
Co 2.7696 4.7624 7.1646
Co 3.5960 6.0792 4.7321
```

* distance to the lowest polymorph of the same formula: 46.2 meV/atom
* volume: 287.2 Å³ per cell
* energy relative to the elements: -1.82 eV per atom
* E: -5.808 eV/atom
* M_tot: 10.000 μB per cell
* crystal system: triclinic
* MP2020-corrected energy: -6.512 eV per atom

- What is the energy relative to the elements in the second record?
  -1.82 eV per atom

- The highest volume belongs to which entry?
  Li9Mn2Co5O16

- The lowest volume belongs to which entry?
  ZnCrF5

- Number 2 is which compound?
  Li9Mn2Co5O16